The following is a PBE with a Hubbard U calculation of a geometry-optimized Li4CrFe3O8 structure, from the Materials Project database.

Calculated values
The value obtained for the calculated density is 4.12 g/cm³. The calculation puts the energy of formation at -2.056 eV per atom. Its polymorph energy (0 for the lowest one) is 2 kJ/mol of formula units. The crystal system is trigonal.

a b c (Å): 5.9912 5.9912 5.9912
angles (deg): 59.77 59.77 59.77
With the nearest neighbours (Å) after each atom.
Sites, in units of the cell vectors:
1 O 0.2419 0.2419 0.7442  1 Cr 2.05, 2 Fe 2.06, 3 Li 2.18
2 O 0.2558 0.7581 0.7581  1 Cr 2.05, 2 Fe 2.06, 3 Li 2.18
3 O 0.2419 0.7442 0.2419  1 Cr 2.05, 2 Fe 2.06, 3 Li 2.18
4 O 0.7425 0.7425 0.7425  3 Fe 2.05, 3 Li 2.18
5 O 0.2575 0.2575 0.2575  3 Fe 2.05, 3 Li 2.18
6 O 0.7442 0.2419 0.2419  1 Cr 2.05, 2 Fe 2.06, 3 Li 2.18
7 O 0.7581 0.2558 0.7581  1 Cr 2.05, 2 Fe 2.06, 3 Li 2.18
8 O 0.7581 0.7581 0.2558  1 Cr 2.05, 2 Fe 2.06, 3 Li 2.18
9 Fe 0.5000 0.5000 0.0000  6 O 2.05-2.06
10 Fe 0.5000 0.0000 0.5000  6 O 2.05-2.06
11 Fe 0.0000 0.5000 0.5000  6 O 2.05-2.06
12 Li 0.0000 0.5000 0.0000  6 O 2.18
13 Li 0.5000 0.5000 0.5000  6 O 2.18
14 Li 0.5000 0.0000 0.0000  6 O 2.18
15 Li 0.0000 0.0000 0.5000  6 O 2.18
16 Cr 0.0000 0.0000 0.0000  6 O 2.05